38
Lattice="4.2869 4.8379 0.0000 -4.2869 4.8379 0.0000 0.0000 2.0794 12.7487" Properties=species:S:1:pos:R:3 comment="TbNd3Fe34, optimized geometry, DFT PBE" formation_energy_ev_per_atom=0.03 dft_energy_ev_per_cell=-305.69 spacegroup="Cm (8)" pbc="T T T"
Tb 0.0000 4.6960 8.5505
Nd 0.0000 3.6625 2.1773
Nd 0.0000 8.0841 10.5637
Nd 0.0000 7.0536 4.1972
Fe -2.1537 5.6464 10.5571
Fe -2.1611 4.6102 4.1951
Fe 0.0000 7.5529 7.3605
Fe 0.0000 6.5252 0.9784
Fe 2.1537 5.6464 10.5571
Fe 2.1611 4.6102 4.1951
Fe 2.1614 7.1464 8.5582
Fe 2.1613 6.1060 2.1802
Fe 0.0000 5.2280 11.7560
Fe 0.0000 4.1959 5.4083
Fe -2.1614 7.1464 8.5582
Fe -2.1613 6.1060 2.1802
Fe 0.0000 1.5653 9.5579
Fe 0.0000 0.5207 3.1879
Fe -2.1394 3.4603 6.3831
Fe -2.1429 4.4987 12.7454
Fe 2.1429 4.4987 12.7454
Fe 2.1394 3.4603 6.3831
Fe 0.0000 2.0876 7.0001
Fe 0.0000 1.0402 0.6164
Fe 0.0000 10.7165 12.1275
Fe 0.0000 9.6769 5.7603
Fe 1.8025 6.9166 12.7454
Fe 1.7903 5.8751 6.3850
Fe 1.2399 3.1869 10.8874
Fe -3.0435 6.9779 4.5288
Fe -3.0331 4.7750 8.2281
Fe -3.0442 3.7371 1.8469
Fe 3.0331 4.7750 8.2281
Fe 3.0442 3.7371 1.8469
Fe -1.2399 3.1869 10.8874
Fe 3.0435 6.9779 4.5288
Fe -1.8025 6.9166 12.7454
Fe -1.7903 5.8751 6.3850

4
Lattice="-2.0819 2.0819 3.5391 2.0819 -2.0819 3.5391 2.0819 2.0819 -3.5391" Properties=species:S:1:pos:R:3 comment="FeSnRh2, optimized geometry, DFT PBE" formation_energy_ev_per_atom=-0.30 dft_energy_ev_per_cell=-28.41 spacegroup="I4/mmm (139)" pbc="T T T"
Fe 0.0000 0.0000 0.0000
Sn 0.0000 0.0000 3.5391
Rh 0.0000 2.0819 1.7696
Rh 2.0819 0.0000 1.7696